# 1
# Gd3In

A relaxed structure of Gd3In (PBE, the Materials Project).

```
data_Gd3In
_chemical_formula_sum 'Gd3 In1'
_cell_length_a 4.892
_cell_length_b 4.892
_cell_length_c 4.892
_cell_angle_alpha 90.00
_cell_angle_beta 90.00
_cell_angle_gamma 90.00
_symmetry_space_group_name_H-M 'P m -3 m'
_symmetry_Int_Tables_number 221
_symmetry_space_group_name_Hall '-P 4 2 3'
loop_
_atom_site_label
_atom_site_type_symbol
_atom_site_fract_x
_atom_site_fract_y
_atom_site_fract_z
Gd1 Gd 0.000 0.000 0.500
In1 In 0.500 0.500 0.500
```

Values from the calculation:
volume: 29.3 A^3/atom
ρ: 8.3 g/cm³
ΔH_f (0 K): -311 meV/atom
crystal system: cubic

# 2
# Gd2In

A relaxed structure of Gd2In (PBE, the Materials Project).

```
data_Gd2In
_chemical_formula_sum 'Gd4 In2'
_cell_length_a 5.4676
_cell_length_b 5.4676
_cell_length_c 6.8095
_cell_angle_alpha 90.00
_cell_angle_beta 90.00
_cell_angle_gamma 120.00
_symmetry_space_group_name_H-M 'P 63/m m c'
_symmetry_Int_Tables_number 194
_symmetry_space_group_name_Hall '-P 6c 2c'
loop_
_atom_site_label
_atom_site_type_symbol
_atom_site_fract_x
_atom_site_fract_y
_atom_site_fract_z
Gd1 Gd 0.0000 0.0000 0.0000
Gd2 Gd 0.3333 0.6667 0.2500
In1 In 0.3333 0.6667 0.7500
```

Values from the calculation:
volume: 29.4 A^3/atom
ρ: 8.1 g/cm³
ΔH_f (0 K): -356 meV/atom
crystal system: hexagonal

# 3
# GdIn3

A relaxed structure of GdIn3 (PBE, the Materials Project).

```
data_GdIn3
_chemical_formula_sum 'Gd1 In3'
_cell_length_a 4.662
_cell_length_b 4.662
_cell_length_c 4.662
_cell_angle_alpha 90.00
_cell_angle_beta 90.00
_cell_angle_gamma 90.00
_symmetry_space_group_name_H-M 'P m -3 m'
_symmetry_Int_Tables_number 221
_symmetry_space_group_name_Hall '-P 4 2 3'
loop_
_atom_site_label
_atom_site_type_symbol
_atom_site_fract_x
_atom_site_fract_y
_atom_site_fract_z
Gd1 Gd 0.000 0.000 0.000
In1 In 0.000 0.500 0.500
```

Values from the calculation:
volume: 25.3 A^3/atom
ρ: 8.2 g/cm³
ΔH_f (0 K): -416 meV/atom
crystal system: cubic

# 4
# Gd2MgIn

A relaxed structure of Gd2MgIn (PBE, the Materials Project).

```
data_Gd2MgIn
_chemical_formula_sum 'Gd8 Mg4 In4'
_cell_length_a 7.583
_cell_length_b 7.583
_cell_length_c 7.583
_cell_angle_alpha 90.00
_cell_angle_beta 90.00
_cell_angle_gamma 90.00
_symmetry_space_group_name_H-M 'F m -3 m'
_symmetry_Int_Tables_number 225
_symmetry_space_group_name_Hall '-F 4 2 3'
loop_
_atom_site_label
_atom_site_type_symbol
_atom_site_fract_x
_atom_site_fract_y
_atom_site_fract_z
Gd1 Gd 0.250 0.250 0.250
Mg1 Mg 0.000 0.000 0.000
In1 In 0.000 0.000 0.500
```

Values from the calculation:
volume: 27.3 A^3/atom
ρ: 6.9 g/cm³
ΔH_f (0 K): -340 meV/atom
crystal system: cubic

# 5
# Gd3InN

A relaxed structure of Gd3InN (PBE, the Materials Project).

```
data_Gd3InN
_chemical_formula_sum 'Gd3 In1 N1'
_cell_length_a 4.899
_cell_length_b 4.899
_cell_length_c 4.899
_cell_angle_alpha 90.00
_cell_angle_beta 90.00
_cell_angle_gamma 90.00
_symmetry_space_group_name_H-M 'P m -3 m'
_symmetry_Int_Tables_number 221
_symmetry_space_group_name_Hall '-P 4 2 3'
loop_
_atom_site_label
_atom_site_type_symbol
_atom_site_fract_x
_atom_site_fract_y
_atom_site_fract_z
Gd1 Gd 0.000 0.000 0.500
In1 In 0.500 0.500 0.500
N1 N 0.000 0.000 0.000
```

Values from the calculation:
volume: 23.5 A^3/atom
ρ: 8.5 g/cm³
ΔH_f (0 K): -1024 meV/atom
crystal system: cubic

# 6
# GdIn2Ni9

A relaxed structure of GdIn2Ni9 (PBE, the Materials Project).

```
data_GdIn2Ni9
_chemical_formula_sum 'Gd2 In4 Ni18'
_cell_length_a 8.237
_cell_length_b 8.237
_cell_length_c 4.837
_cell_angle_alpha 90.00
_cell_angle_beta 90.00
_cell_angle_gamma 90.00
_symmetry_space_group_name_H-M 'P 4/m b m'
_symmetry_Int_Tables_number 127
_symmetry_space_group_name_Hall '-P 4 2ab'
loop_
_atom_site_label
_atom_site_type_symbol
_atom_site_fract_x
_atom_site_fract_y
_atom_site_fract_z
Gd1 Gd 0.000 0.000 0.000
In1 In 0.124 0.376 0.000
Ni1 Ni 0.000 0.500 0.500
Ni2 Ni 0.064 0.207 0.500
Ni3 Ni 0.177 0.677 0.249
```

Values from the calculation:
volume: 13.7 A^3/atom
ρ: 9.3 g/cm³
ΔH_f (0 K): -215 meV/atom
crystal system: tetragonal

# 7
# Gd11In9Ni4

A relaxed structure of Gd11In9Ni4 (PBE, the Materials Project).

```
data_Gd11In9Ni4
_chemical_formula_sum 'Gd22 In18 Ni8'
_cell_length_a 14.820
_cell_length_b 21.626
_cell_length_c 3.669
_cell_angle_alpha 90.00
_cell_angle_beta 90.00
_cell_angle_gamma 90.00
_symmetry_space_group_name_H-M 'C m m m'
_symmetry_Int_Tables_number 65
_symmetry_space_group_name_Hall '-C 2 2'
loop_
_atom_site_label
_atom_site_type_symbol
_atom_site_fract_x
_atom_site_fract_y
_atom_site_fract_z
Gd1 Gd 0.000 0.000 0.000
Gd2 Gd 0.000 0.157 0.000
Gd3 Gd 0.000 0.374 0.000
Gd4 Gd 0.188 0.500 0.000
Gd5 Gd 0.247 0.171 0.000
In1 In 0.000 0.500 0.500
In2 In 0.103 0.264 0.500
In3 In 0.149 0.071 0.500
Ni1 Ni 0.154 0.397 0.500
```

Values from the calculation:
volume: 24.5 A^3/atom
ρ: 8.5 g/cm³
ΔH_f (0 K): -513 meV/atom
crystal system: orthorhombic
magnetic moment: 34.91 μB per formula unit

# 8
# GdInNi4

A relaxed structure of GdInNi4 (PBE, the Materials Project).

```
data_GdInNi4
_chemical_formula_sum 'Gd4 In4 Ni16'
_cell_length_a 7.070
_cell_length_b 7.070
_cell_length_c 7.070
_cell_angle_alpha 90.00
_cell_angle_beta 90.00
_cell_angle_gamma 90.00
_symmetry_space_group_name_H-M 'F -4 3 m'
_symmetry_Int_Tables_number 216
_symmetry_space_group_name_Hall 'F -4 2 3'
loop_
_atom_site_label
_atom_site_type_symbol
_atom_site_fract_x
_atom_site_fract_y
_atom_site_fract_z
Gd1 Gd 0.000 0.000 0.000
In1 In 0.250 0.250 0.250
Ni1 Ni 0.124 0.124 0.624
```

Values from the calculation:
volume: 14.7 A^3/atom
ρ: 9.5 g/cm³
ΔH_f (0 K): -369 meV/atom
crystal system: cubic

# 9
# Gd3InO6

A relaxed structure of Gd3InO6 (PBE, the Materials Project).

```
data_Gd3InO6
_chemical_formula_sum 'Gd12 In4 O24'
_cell_length_a 9.097
_cell_length_b 11.437
_cell_length_c 5.679
_cell_angle_alpha 90.00
_cell_angle_beta 90.00
_cell_angle_gamma 90.00
_symmetry_space_group_name_H-M 'C m c 21'
_symmetry_Int_Tables_number 36
loop_
_symmetry_equiv_pos_as_xyz
'x,y,z'
'-x,-y,z+1/2'
'-x,y,z'
'x,-y,z+1/2'
'x+1/2,y+1/2,z'
'-x+1/2,-y+1/2,z+1/2'
'-x+1/2,y+1/2,z'
'x+1/2,-y+1/2,z+1/2'
loop_
_atom_site_label
_atom_site_type_symbol
_atom_site_fract_x
_atom_site_fract_y
_atom_site_fract_z
Gd1 Gd 0.000 0.101 0.000
Gd2 Gd 0.195 0.395 0.951
In1 In 0.000 0.310 0.435
O1 O 0.000 0.281 0.790
O2 O 0.000 0.472 0.262
O3 O 0.160 0.017 0.725
O4 O 0.165 0.232 0.229
```

Values from the calculation:
volume: 14.8 A^3/atom
ρ: 7.7 g/cm³
ΔH_f (0 K): -3369 meV/atom
crystal system: orthorhombic
magnetic moment: 21.00 μB per formula unit
ΔE to the lowest computed polymorph: 0.043 eV per atom

# 10
# Gd3InO6

A relaxed structure of Gd3InO6 (PBE, the Materials Project).

```
data_Gd3InO6
_chemical_formula_sum 'Gd18 In6 O36'
_cell_length_a 9.7539
_cell_length_b 9.7539
_cell_length_c 11.2463
_cell_angle_alpha 90.00
_cell_angle_beta 90.00
_cell_angle_gamma 120.00
_symmetry_space_group_name_H-M 'R -3'
_symmetry_Int_Tables_number 148
_symmetry_space_group_name_Hall '-R 3'
loop_
_atom_site_label
_atom_site_type_symbol
_atom_site_fract_x
_atom_site_fract_y
_atom_site_fract_z
Gd1 Gd 0.0405 0.7743 0.2061
In1 In 0.0000 0.0000 0.0000
In2 In 0.0000 0.0000 0.5000
O1 O 0.0282 0.8148 0.4034
O2 O 0.0279 0.8415 0.8757
```

Values from the calculation:
volume: 15.4 A^3/atom
ρ: 7.3 g/cm³
ΔH_f (0 K): -3412 meV/atom
crystal system: trigonal
ΔE to the lowest computed polymorph: 0.000 eV per atom

# 11
# Gd2InSbO7

A relaxed structure of Gd2InSbO7 (PBE, the Materials Project).

```
data_Gd2InSbO7
_chemical_formula_sum 'Gd8 In4 Sb4 O28'
_cell_length_a 7.415
_cell_length_b 7.600
_cell_length_c 10.581
_cell_angle_alpha 90.00
_cell_angle_beta 90.00
_cell_angle_gamma 90.00
_symmetry_space_group_name_H-M 'I m m a'
_symmetry_Int_Tables_number 74
_symmetry_space_group_name_Hall '-I 2b 2'
loop_
_atom_site_label
_atom_site_type_symbol
_atom_site_fract_x
_atom_site_fract_y
_atom_site_fract_z
Gd1 Gd 0.000 0.000 0.000
Gd2 Gd 0.250 0.250 0.250
In1 In 0.250 0.250 0.750
Sb1 Sb 0.000 0.000 0.500
O1 O 0.000 0.250 0.130
O2 O 0.000 0.250 0.434
O3 O 0.000 0.250 0.855
O4 O 0.200 0.024 0.625
```

Values from the calculation:
volume: 13.6 A^3/atom
ρ: 7.4 g/cm³
ΔH_f (0 K): -2915 meV/atom
crystal system: orthorhombic

# 12
# GdInPd2

A relaxed structure of GdInPd2 (PBE, the Materials Project).

```
data_GdInPd2
_chemical_formula_sum 'Gd4 In4 Pd8'
_cell_length_a 6.855
_cell_length_b 6.855
_cell_length_c 6.855
_cell_angle_alpha 90.00
_cell_angle_beta 90.00
_cell_angle_gamma 90.00
_symmetry_space_group_name_H-M 'F m -3 m'
_symmetry_Int_Tables_number 225
_symmetry_space_group_name_Hall '-F 4 2 3'
loop_
_atom_site_label
_atom_site_type_symbol
_atom_site_fract_x
_atom_site_fract_y
_atom_site_fract_z
Gd1 Gd 0.000 0.000 0.000
In1 In 0.000 0.000 0.500
Pd1 Pd 0.250 0.250 0.250
```

Values from the calculation:
volume: 20.1 A^3/atom
ρ: 10.0 g/cm³
ΔH_f (0 K): -784 meV/atom
crystal system: cubic
magnetic moment: 7.17 μB per formula unit